*1*
# LiCrP2O7

A relaxed LiCrP2O7 crystal (PBE with a Hubbard U, Materials Project).

Output
- Crystal system: monoclinic
- Symmetry: P2_1/c

abc: 5.0416 13.4496 9.5020
angles: 90.00 121.42 90.00
Closest atoms and distances in Å follow each position.
Element x y z (fractional)
Li1 0.0102 0.1198 0.3565  2 O 1.95-2.17
Li2 0.0102 0.3802 0.8565  2 O 1.95-2.17
Li3 0.9898 0.6198 0.1435  2 O 1.95-2.17
Li4 0.9898 0.8802 0.6435  2 O 1.95-2.17
Cr1 0.0268 0.1679 0.7338  5 O 1.95-2.03
Cr2 0.0268 0.3321 0.2338  5 O 1.95-2.03
Cr3 0.9732 0.6679 0.7662  5 O 1.95-2.03
Cr4 0.9732 0.8321 0.2662  5 O 1.95-2.03
P1 0.2693 0.6781 0.5394  4 O 1.53-1.61
P2 0.2693 0.8219 0.0394  4 O 1.53-1.61
P3 0.4816 0.5288 0.7744  3 O 1.48-1.57
P4 0.4816 0.9712 0.2744  3 O 1.48-1.57
P5 0.5184 0.0288 0.7256  3 O 1.48-1.57
P6 0.5184 0.4712 0.2256  3 O 1.48-1.57
P7 0.7307 0.1781 0.9606  4 O 1.53-1.61
P8 0.7307 0.3219 0.4606  4 O 1.53-1.61
O1 0.0261 0.6939 0.3564  1 P 1.53
O2 0.0261 0.8061 0.8564  1 P 1.53
O3 0.1702 0.7253 0.6514  1 P 1.53
O4 0.1702 0.7747 0.1514  1 P 1.53
O5 0.2201 0.5443 0.8148  1 P 1.57
O6 0.2201 0.9557 0.3148  1 P 1.57
O7 0.2560 0.1077 0.6316  1 P 1.56
O8 0.2560 0.3923 0.1316  1 P 1.56
O9 0.3071 0.5603 0.5762  2 P 1.61-1.67
O10 0.3071 0.9397 0.0762  2 P 1.61-1.67
O11 0.4060 0.5750 0.2094  1 P 1.48
O12 0.4060 0.9250 0.7094  1 P 1.48
O13 0.4136 0.2156 0.9243  1 P 1.53
O14 0.4136 0.2844 0.4243  1 P 1.53
O15 0.5864 0.7156 0.5757  1 P 1.53
O16 0.5864 0.7844 0.0757  1 P 1.53
O17 0.5940 0.0750 0.2906  1 P 1.48
O18 0.5940 0.4250 0.7906  1 P 1.48
O19 0.6929 0.0603 0.9238  2 P 1.61-1.67
O20 0.6929 0.4397 0.4238  2 P 1.61-1.67
O21 0.7440 0.6077 0.8684  1 P 1.56
O22 0.7440 0.8923 0.3684  1 P 1.56
O23 0.7799 0.0443 0.6852  1 P 1.57
O24 0.7799 0.4557 0.1852  1 P 1.57
O25 0.8298 0.2253 0.8486  1 P 1.53
O26 0.8298 0.2747 0.3486  1 P 1.53
O27 0.9739 0.1939 0.1436  1 P 1.53
O28 0.9739 0.3061 0.6437  1 P 1.53

---

*2*
# LiCrP2O7

A relaxed LiCrP2O7 crystal (PBE with a Hubbard U, Materials Project).

Output
- Crystal system: monoclinic
- Symmetry: Cc

abc: 5.2789 5.2789 9.0163
angles: 97.67 97.67 104.12
Closest atoms and distances in Å follow each position.
Element x y z (fractional)
Li1 0.1970 0.8030 0.5000  5 O 2.12-2.22
Li2 0.8030 0.1970 0.0000  5 O 2.12-2.22
Cr1 0.1701 0.8169 0.0023  6 O 1.97-2.17
Cr2 0.8169 0.1701 0.5023  6 O 1.97-2.17
P1 0.2659 0.2829 0.7997  4 O 1.53-1.58
P2 0.2829 0.2659 0.2997  4 O 1.53-1.58
P3 0.7108 0.7173 0.2055  4 O 1.53-1.58
P4 0.7173 0.7108 0.7055  4 O 1.53-1.58
O1 0.1097 0.4372 0.8912  1 P 1.53
O2 0.1128 0.4008 0.3926  1 P 1.54
O3 0.1148 0.1205 0.6446  1 P 1.54
O4 0.1205 0.1148 0.1446  1 P 1.54
O5 0.4008 0.1128 0.8926  1 P 1.54
O6 0.4372 0.1097 0.3912  1 P 1.53
O7 0.4815 0.5114 0.7544  2 P 1.58
O8 0.5114 0.4815 0.2544  2 P 1.58
O9 0.5420 0.8583 0.1128  1 P 1.53
O10 0.5953 0.8905 0.6130  1 P 1.54
O11 0.8583 0.5420 0.6128  1 P 1.53
O12 0.8702 0.8784 0.3590  1 P 1.54
O13 0.8784 0.8702 0.8590  1 P 1.54
O14 0.8905 0.5953 0.1130  1 P 1.54

---

*3*
# LiCrP2O7

A relaxed LiCrP2O7 crystal (PBE with a Hubbard U, Materials Project).

Output
- Crystal system: monoclinic
- Symmetry: C2/c

abc: 7.8422 7.8422 10.5896
angles: 90.44 90.44 116.14
Closest atoms and distances in Å follow each position.
Element x y z (fractional)
Li1 0.2127 0.7818 0.9990  3 O 1.91-2.09
Li2 0.2182 0.7873 0.5010  3 O 1.91-2.09
Li3 0.7818 0.2127 0.4990  3 O 1.91-2.09
Li4 0.7873 0.2182 0.0010  3 O 1.91-2.09
Cr1 0.1897 0.1919 0.6108  4 O 1.91-1.95
Cr2 0.1919 0.1897 0.1108  4 O 1.91-1.95
Cr3 0.8081 0.8103 0.8892  4 O 1.91-1.95
Cr4 0.8103 0.8081 0.3892  4 O 1.91-1.95
P1 0.1828 0.4074 0.3666  3 O 1.47-1.59
P2 0.2117 0.4172 0.8695  4 O 1.47-1.65
P3 0.4074 0.1828 0.8666  3 O 1.47-1.59
P4 0.4172 0.2117 0.3695  4 O 1.47-1.65
P5 0.5828 0.7883 0.6305  4 O 1.47-1.65
P6 0.5926 0.8172 0.1334  3 O 1.47-1.59
P7 0.7883 0.5828 0.1305  4 O 1.47-1.65
P8 0.8172 0.5926 0.6334  3 O 1.47-1.59
O1 0.0674 0.2707 0.4774  1 P 1.59
O2 0.0864 0.2924 0.9811  1 P 1.58
O3 0.1007 0.3028 0.2402  1 P 1.54
O4 0.1203 0.3150 0.7435  1 P 1.55
O5 0.2012 0.6023 0.3773  1 P 1.47
O6 0.2544 0.6195 0.8806  1 P 1.47
O7 0.2707 0.0674 0.9774  1 P 1.59
O8 0.2924 0.0864 0.4811  1 P 1.58
O9 0.3028 0.1007 0.7402  1 P 1.54
O10 0.3150 0.1203 0.2435  1 P 1.55
O11 0.3805 0.7456 0.6194  1 P 1.47
O12 0.3937 0.4100 0.3812  2 P 1.65
O13 0.3977 0.7988 0.1227  1 P 1.47
O14 0.4100 0.3937 0.8812  2 P 1.65
O15 0.5900 0.6063 0.1188  2 P 1.65
O16 0.6023 0.2012 0.8773  1 P 1.47
O17 0.6063 0.5900 0.6188  2 P 1.65
O18 0.6195 0.2544 0.3806  1 P 1.47
O19 0.6850 0.8797 0.7565  1 P 1.55
O20 0.6972 0.8993 0.2598  1 P 1.54
O21 0.7076 0.9136 0.5189  1 P 1.58
O22 0.7293 0.9326 0.0226  1 P 1.59
O23 0.7456 0.3805 0.1194  1 P 1.47
O24 0.7988 0.3977 0.6227  1 P 1.47
O25 0.8797 0.6850 0.2565  1 P 1.55
O26 0.8993 0.6972 0.7598  1 P 1.54
O27 0.9136 0.7076 0.0189  1 P 1.58
O28 0.9326 0.7293 0.5226  1 P 1.59

---

Question: of the structures shown, which is the most stable? Reply: *2*.